Compound: Bi2Te4Pb
Source: the Materials Project database
Functional: PBE
Structure: relaxed

ΔE_f in eV/atom: -0.2838
SG: R-3m
Total DFT energy (no corrections) in Ha/atom: -0.1368

abc: 14.433 14.433 14.433
angles: 17.99 17.99 17.99
Positions (direct):
Bi: 0.428 0.428 0.428
Bi: 0.572 0.572 0.572
Te: 0.134 0.134 0.134
Te: 0.287 0.287 0.287
Te: 0.713 0.713 0.713
Te: 0.866 0.866 0.866
Pb: 0.000 0.000 0.000

Compound: Bi2Te5Pb2
Source: the Materials Project database
Functional: PBE
Structure: relaxed

ΔE_f in eV/atom: -0.2554
SG: P-3m1
Total DFT energy (no corrections) in Ha/atom: -0.1356
Spin magnetization in μB/atom: 0.00

abc: 4.519 4.519 18.407
angles: 90.00 90.00 120.00
Positions (direct):
Bi: 0.333 0.667 0.110
Bi: 0.667 0.333 0.890
Te: 0.667 0.333 0.573
Te: 0.667 0.333 0.201
Te: 0.333 0.667 0.799
Te: 0.000 0.000 0.000
Te: 0.333 0.667 0.427
Pb: 0.000 0.000 0.341
Pb: 0.000 0.000 0.659

Compound: Bi3Te5Pb
Source: the Materials Project database
Functional: PBE
Structure: relaxed

ΔE_f in eV/atom: -0.2008
SG: P3m1
Total DFT energy (no corrections) in Ha/atom: -0.1344
Spin magnetization in μB/atom: 0.00

abc: 4.627 4.627 17.137
angles: 90.00 90.00 120.00
Positions (direct):
Bi: 0.667 0.333 0.000
Bi: 0.000 0.000 0.774
Bi: 0.333 0.667 0.222
Te: 0.000 0.000 0.108
Te: 0.333 0.667 0.900
Te: 0.333 0.667 0.544
Te: 0.667 0.333 0.316
Te: 0.667 0.333 0.684
Pb: 0.000 0.000 0.452

Compound: Bi4Te7Pb
Source: the Materials Project database
Functional: PBE
Structure: relaxed

ΔE_f in eV/atom: -0.2632
SG: P-3m1
Total DFT energy (no corrections) in Ha/atom: -0.1361

abc: 4.475 4.475 24.664
angles: 90.00 90.00 120.00
Positions (direct):
Bi: 0.333 0.667 0.836
Bi: 0.667 0.333 0.418
Bi: 0.667 0.333 0.164
Bi: 0.333 0.667 0.582
Te: 0.667 0.333 0.651
Te: 0.333 0.667 0.081
Te: 0.000 0.000 0.233
Te: 0.333 0.667 0.349
Te: 0.667 0.333 0.919
Te: 0.000 0.000 0.500
Te: 0.000 0.000 0.767
Pb: 0.000 0.000 0.000

Compound: Bi6Te10Pb
Source: the Materials Project database
Functional: PBE
Structure: relaxed

ΔE_f in eV/atom: -0.2495
SG: R-3m
Total DFT energy (no corrections) in Ha/atom: -0.1356
Spin magnetization in μB/atom: 0.00

abc: 4.509 4.509 34.353
angles: 86.24 86.24 60.00
Positions (direct):
Bi: 0.295 0.295 0.116
Bi: 0.705 0.705 0.884
Bi: 0.235 0.235 0.294
Bi: 0.765 0.765 0.706
Bi: 0.470 0.470 0.589
Bi: 0.530 0.530 0.411
Te: 0.352 0.352 0.943
Te: 0.648 0.648 0.057
Te: 0.055 0.055 0.836
Te: 0.945 0.945 0.164
Te: 0.415 0.415 0.755
Te: 0.585 0.585 0.245
Te: 0.117 0.117 0.648
Te: 0.883 0.883 0.352
Te: 0.180 0.180 0.460
Te: 0.820 0.820 0.540
Pb: 0.000 0.000 0.000

Compound: Bi2Te4Pb
Source: the Materials Project database
Functional: PBE
Structure: relaxed

ΔE_f in eV/atom: -0.2573
SG: R3m
Total DFT energy (no corrections) in Ha/atom: -0.1358
Spin magnetization in μB/atom: 0.00

abc: 14.429 14.429 14.429
angles: 17.88 17.88 17.88
Positions (direct):
Bi: 0.429 0.429 0.429
Bi: 0.000 0.000 0.000
Te: 0.864 0.864 0.864
Te: 0.135 0.135 0.135
Te: 0.712 0.712 0.712
Te: 0.292 0.292 0.292
Pb: 0.569 0.569 0.569

Compound: BiPd3
Source: the Materials Project database
Functional: PBE
Structure: relaxed

ΔE_f in eV/atom: -0.2615
SG: Pmma
Total DFT energy (no corrections) in Ha/atom: -0.1881

abc: 5.092 5.855 9.583
angles: 90.00 90.00 90.00
Positions (direct):
Bi: 0.154 0.500 0.750
Bi: 0.846 0.500 0.250
Bi: 0.500 0.000 0.500
Bi: 0.500 0.000 0.000
Pd: 0.665 0.251 0.750
Pd: 0.665 0.749 0.750
Pd: 0.335 0.251 0.250
Pd: 0.335 0.749 0.250
Pd: 0.500 0.500 0.000
Pd: 0.500 0.500 0.500
Pd: 0.848 0.000 0.250
Pd: 0.152 0.000 0.750
Pd: 0.000 0.750 0.000
Pd: 0.000 0.250 0.500
Pd: 0.000 0.250 0.000
Pd: 0.000 0.750 0.500

Compound: BiPd
Source: the Materials Project database
Functional: PBE
Structure: relaxed

ΔE_f in eV/atom: -0.3101
SG: Cmc2_1
Total DFT energy (no corrections) in Ha/atom: -0.1781
Spin magnetization in μB/atom: 0.00

abc: 5.765 5.765 10.799
angles: 90.00 90.00 101.54
Positions (direct):
Bi: 0.393 0.853 0.279
Bi: 0.123 0.123 0.994
Bi: 0.853 0.393 0.279
Bi: 0.147 0.607 0.779
Bi: 0.367 0.367 0.499
Bi: 0.633 0.633 0.999
Bi: 0.607 0.147 0.779
Bi: 0.877 0.877 0.494
Pd: 0.091 0.091 0.721
Pd: 0.332 0.332 0.228
Pd: 0.132 0.623 0.056
Pd: 0.668 0.668 0.728
Pd: 0.377 0.868 0.556
Pd: 0.868 0.377 0.556
Pd: 0.623 0.132 0.056
Pd: 0.909 0.909 0.221

Compound: BiPd
Source: the Materials Project database
Functional: PBE
Structure: relaxed

ΔE_f in eV/atom: -0.3125
SG: P2_1
Total DFT energy (no corrections) in Ha/atom: -0.1781
Spin magnetization in μB/atom: 0.00

abc: 10.852 5.734 5.750
angles: 78.90 90.00 90.00
Positions (direct):
Bi: 0.287 0.113 0.849
Bi: 0.787 0.887 0.151
Bi: 0.292 0.641 0.397
Bi: 0.792 0.359 0.603
Bi: 0.509 0.117 0.344
Bi: 0.009 0.883 0.656
Bi: 0.505 0.649 0.895
Bi: 0.005 0.351 0.105
Pd: 0.559 0.170 0.824
Pd: 0.059 0.830 0.176
Pd: 0.567 0.598 0.409
Pd: 0.067 0.402 0.591
Pd: 0.735 0.843 0.668
Pd: 0.235 0.157 0.332
Pd: 0.730 0.406 0.088
Pd: 0.230 0.594 0.912

Compound: BiPd3
Source: the Materials Project database
Functional: PBE
Structure: relaxed

ΔE_f in eV/atom: -0.2359
SG: Fm-3m
Total DFT energy (no corrections) in Ha/atom: -0.1872

abc: 4.674 4.674 4.674
angles: 60.00 60.00 60.00
Positions (direct):
Bi: 0.500 0.500 0.500
Pd: 0.750 0.750 0.750
Pd: 0.250 0.250 0.250
Pd: 0.000 0.000 0.000

Compound: BiPd
Source: the Materials Project database
Functional: PBE
Structure: relaxed

ΔE_f in eV/atom: -0.3208
SG: P6_3/mmc
Total DFT energy (no corrections) in Ha/atom: -0.1784

abc: 4.307 4.307 5.796
angles: 90.00 90.00 120.00
Positions (direct):
Bi: 0.333 0.667 0.250
Bi: 0.667 0.333 0.750
Pd: 0.000 0.000 0.500
Pd: 0.000 0.000 0.000

Compound: PmBiPd2
Source: the Materials Project database
Functional: PBE
Structure: relaxed

ΔE_f in eV/atom: -0.7205
SG: Fm-3m
Total DFT energy (no corrections) in Ha/atom: -0.2010

abc: 4.979 4.979 4.979
angles: 60.00 60.00 60.00
Positions (direct):
Pm: 0.000 0.000 0.000
Bi: 0.500 0.500 0.500
Pd: 0.250 0.250 0.250
Pd: 0.750 0.750 0.750

Compound: PrBiPd2
Source: the Materials Project database
Functional: PBE
Structure: relaxed

ΔE_f in eV/atom: -0.6963
SG: Fm-3m
Total DFT energy (no corrections) in Ha/atom: -0.2004
Spin magnetization in μB/atom: 0.00

abc: 5.020 5.020 5.020
angles: 60.00 60.00 60.00
Positions (direct):
Pr: 0.500 0.500 0.500
Bi: 0.000 0.000 0.000
Pd: 0.250 0.250 0.250
Pd: 0.750 0.750 0.750

Compound: PrBiPd
Source: the Materials Project database
Functional: PBE
Structure: relaxed

ΔE_f in eV/atom: -0.9403
SG: F-43m
Total DFT energy (no corrections) in Ha/atom: -0.2042

abc: 4.880 4.880 4.880
angles: 60.00 60.00 60.00
Positions (direct):
Pr: 0.500 0.500 0.500
Bi: 0.000 0.000 0.000
Pd: 0.250 0.250 0.250

Compound: Bi2PdPt
Source: the Materials Project database
Functional: PBE
Structure: relaxed

ΔE_f in eV/atom: -0.3026
SG: P-3m1
Total DFT energy (no corrections) in Ha/atom: -0.1860

abc: 4.368 4.368 5.668
angles: 90.00 90.00 120.00
Positions (direct):
Bi: 0.333 0.667 0.242
Bi: 0.667 0.333 0.758
Pd: 0.000 0.000 0.500
Pt: 0.000 0.000 0.000

Compound: PuBiPd2
Source: the Materials Project database
Functional: PBE
Structure: relaxed

ΔE_f in eV/atom: 0.0524
SG: Fm-3m
Total DFT energy (no corrections) in Ha/atom: -0.2601
Spin magnetization in μB/atom: 0.04

abc: 4.897 4.897 4.897
angles: 60.00 60.00 60.00
Positions (direct):
Pu: 0.000 0.000 0.000
Bi: 0.500 0.500 0.500
Pd: 0.250 0.250 0.250
Pd: 0.750 0.750 0.750

Compound: BiSbPd2
Source: the Materials Project database
Functional: PBE
Structure: relaxed

ΔE_f in eV/atom: -0.3722
SG: P-6m2
Total DFT energy (no corrections) in Ha/atom: -0.1825

abc: 4.214 4.214 5.748
angles: 90.00 90.00 120.00
Positions (direct):
Bi: 0.333 0.667 0.500
Sb: 0.000 0.000 0.000
Pd: 0.667 0.333 0.757
Pd: 0.667 0.333 0.243

Compound: BiPd6Se
Source: the Materials Project database
Functional: PBE
Structure: relaxed

ΔE_f in eV/atom: -0.2242
SG: R-3m
Total DFT energy (no corrections) in Ha/atom: -0.1828
Spin magnetization in μB/atom: 0.00

abc: 7.930 7.930 7.930
angles: 33.70 33.70 33.70
Positions (direct):
Bi: 0.000 0.000 0.000
Pd: 0.615 0.615 0.615
Pd: 0.133 0.133 0.133
Pd: 0.867 0.867 0.867
Pd: 0.385 0.385 0.385
Pd: 0.256 0.256 0.256
Pd: 0.744 0.744 0.744
Se: 0.500 0.500 0.500

Compound: BiPdSe
Source: the Materials Project database
Functional: PBE
Structure: relaxed

ΔE_f in eV/atom: -0.5308
SG: P2_13
Total DFT energy (no corrections) in Ha/atom: -0.1677

abc: 6.537 6.537 6.537
angles: 90.00 90.00 90.00
Positions (direct):
Bi: 0.126 0.626 0.874
Bi: 0.626 0.874 0.126
Bi: 0.874 0.126 0.626
Bi: 0.374 0.374 0.374
Pd: 0.490 0.990 0.510
Pd: 0.990 0.510 0.490
Pd: 0.510 0.490 0.990
Pd: 0.010 0.010 0.010
Se: 0.878 0.378 0.122
Se: 0.378 0.122 0.878
Se: 0.122 0.878 0.378
Se: 0.622 0.622 0.622

Compound: SrBi2Pd2
Source: the Materials Project database
Functional: PBE
Structure: relaxed

ΔE_f in eV/atom: -0.5941
SG: P4/nmm
Total DFT energy (no corrections) in Ha/atom: -0.1676

abc: 4.928 4.928 10.852
angles: 90.00 90.00 90.00
Positions (direct):
Sr: 0.000 0.500 0.240
Sr: 0.500 0.000 0.760
Bi: 0.000 0.000 0.500
Bi: 0.500 0.500 0.500
Bi: 0.000 0.500 0.879
Bi: 0.500 0.000 0.121
Pd: 0.000 0.000 0.000
Pd: 0.500 0.500 0.000
Pd: 0.000 0.500 0.627
Pd: 0.500 0.000 0.373

Compound: SrBi2Pd2
Source: the Materials Project database
Functional: PBE
Structure: relaxed

ΔE_f in eV/atom: -0.5997
SG: P2_1/m
Total DFT energy (no corrections) in Ha/atom: -0.1678

abc: 4.849 4.957 10.949
angles: 92.19 90.00 90.00
Positions (direct):
Sr: 0.750 0.260 0.763
Sr: 0.250 0.740 0.237
Bi: 0.750 0.209 0.120
Bi: 0.250 0.791 0.880
Bi: 0.250 0.250 0.502
Bi: 0.750 0.750 0.498
Pd: 0.750 0.242 0.370
Pd: 0.250 0.758 0.630
Pd: 0.750 0.691 0.000
Pd: 0.250 0.309 0.000

Compound: Sr2Bi3Pd3
Source: the Materials Project database
Functional: PBE
Structure: relaxed

ΔE_f in eV/atom: 1.1637
SG: P4/mmm
Total DFT energy (no corrections) in Ha/atom: -0.0977
Spin magnetization in μB/atom: 0.35

abc: 6.694 6.694 21.889
angles: 90.00 90.00 90.00
Positions (direct):
Sr: 0.500 0.500 0.763
Sr: 0.500 0.500 0.237
Bi: 0.500 0.500 0.386
Bi: 0.500 0.500 0.614
Bi: 0.500 0.500 0.000
Pd: 0.500 0.500 0.121
Pd: 0.500 0.500 0.879
Pd: 0.500 0.500 0.500

Compound: Tb5BiPd2
Source: the Materials Project database
Functional: PBE
Structure: relaxed

ΔE_f in eV/atom: -0.6887
SG: I4/mcm
Total DFT energy (no corrections) in Ha/atom: -0.1972
Spin magnetization in μB/atom: 0.00

abc: 8.851 8.851 8.851
angles: 127.12 127.12 78.05
Positions (direct):
Tb: 0.000 0.000 0.000
Tb: 0.500 0.500 0.000
Tb: 0.795 0.295 0.811
Tb: 0.205 0.705 0.189
Tb: 0.484 0.984 0.189
Tb: 0.295 0.484 0.500
Tb: 0.016 0.205 0.500
Tb: 0.516 0.016 0.811
Tb: 0.705 0.516 0.500
Tb: 0.984 0.795 0.500
Bi: 0.250 0.250 0.000
Bi: 0.750 0.750 0.000
Pd: 0.136 0.636 0.772
Pd: 0.864 0.364 0.228
Pd: 0.636 0.864 0.500
Pd: 0.364 0.136 0.500

Compound: TmBiPd2
Source: the Materials Project database
Functional: PBE
Structure: relaxed

ΔE_f in eV/atom: -0.7425
SG: Fm-3m
Total DFT energy (no corrections) in Ha/atom: -0.1993
Spin magnetization in μB/atom: 0.00

abc: 4.881 4.881 4.881
angles: 60.00 60.00 60.00
Positions (direct):
Tm: 0.000 0.000 0.000
Bi: 0.500 0.500 0.500
Pd: 0.250 0.250 0.250
Pd: 0.750 0.750 0.750